(1)
{
  "formula": "Ca3Sb2N4",
  "functional": "PBE-GGA",
  "state": "optimized geometry",
  "m_tot_mub_per_fu": 0.0,
  "delta_e_f_mev_per_atom": -588,
  "total_energy_ev_per_cell": -102.94,
  "lattice": [[8.005, -1.453, -0.361], [-7.491, 9.573, 0.000], [-0.433, -0.339, 5.167]],
  "species": ["Ca", "Ca", "Ca", "Ca", "Ca", "Ca", "Sb", "Sb", "Sb", "Sb", "N", "N", "N", "N", "N", "N", "N", "N"],
  "frac_coords": [[0.215, 0.012, 0.060], [0.785, 0.798, 0.440], [0.785, 0.988, 0.940], [0.215, 0.202, 0.560], [0.000, 0.672, 0.750], [0.000, 0.328, 0.250], [0.613, 0.209, 0.660], [0.387, 0.596, 0.840], [0.387, 0.791, 0.340], [0.613, 0.404, 0.160], [0.227, 0.007, 0.575], [0.773, 0.780, 0.925], [0.773, 0.993, 0.425], [0.227, 0.220, 0.075], [0.659, 0.259, 0.065], [0.341, 0.600, 0.435], [0.341, 0.741, 0.935], [0.659, 0.400, 0.565]]
}


(2)
{
  "formula": "Ca2SbN3",
  "functional": "PBE-GGA",
  "state": "optimized geometry",
  "m_tot_mub_per_fu": 0.0,
  "delta_e_f_mev_per_atom": -587,
  "total_energy_ev_per_cell": -142.37,
  "lattice": [[6.264, 0.055, -0.007], [-9.832, 5.094, 0.000], [-0.370, -0.713, 12.194]],
  "species": ["Ca", "Ca", "Ca", "Ca", "Ca", "Ca", "Ca", "Ca", "Sb", "Sb", "Sb", "Sb", "N", "N", "N", "N", "N", "N", "N", "N", "N", "N", "N", "N"],
  "frac_coords": [[0.475, 0.036, 0.866], [0.525, 0.561, 0.634], [0.525, 0.964, 0.134], [0.475, 0.439, 0.366], [0.558, 0.902, 0.577], [0.442, 0.344, 0.923], [0.442, 0.098, 0.423], [0.558, 0.656, 0.077], [0.531, 0.260, 0.656], [0.469, 0.728, 0.844], [0.469, 0.740, 0.344], [0.531, 0.272, 0.156], [0.000, 0.595, 0.750], [0.000, 0.405, 0.250], [0.700, 0.178, 0.616], [0.300, 0.477, 0.884], [0.300, 0.822, 0.384], [0.700, 0.523, 0.116], [0.371, 0.077, 0.035], [0.629, 0.706, 0.465], [0.629, 0.923, 0.965], [0.371, 0.294, 0.535], [0.000, 0.958, 0.750], [0.000, 0.042, 0.250]]
}


(3)
{
  "formula": "Ca3Sc2N4",
  "functional": "PBE-GGA",
  "state": "optimized geometry",
  "m_tot_mub_per_fu": 0.0,
  "de_polymorph_mev_per_atom": 0,
  "delta_e_f_mev_per_atom": -1320,
  "total_energy_ev_per_cell": -124.92,
  "lattice": [[6.908, 0.018, 0.027], [-5.230, 6.684, 0.000], [-0.069, -0.054, 6.173]],
  "species": ["Ca", "Ca", "Ca", "Ca", "Ca", "Ca", "Sc", "Sc", "Sc", "Sc", "N", "N", "N", "N", "N", "N", "N", "N"],
  "frac_coords": [[0.225, 0.983, 0.985], [0.775, 0.758, 0.515], [0.775, 0.017, 0.015], [0.225, 0.242, 0.485], [0.000, 0.604, 0.750], [0.000, 0.396, 0.250], [0.621, 0.186, 0.606], [0.379, 0.566, 0.894], [0.379, 0.814, 0.394], [0.621, 0.434, 0.106], [0.240, 0.953, 0.569], [0.760, 0.713, 0.931], [0.760, 0.047, 0.431], [0.240, 0.287, 0.069], [0.705, 0.269, 0.936], [0.295, 0.563, 0.564], [0.295, 0.731, 0.064], [0.705, 0.437, 0.436]]
}


(4)
{
  "formula": "Ca3Sc2N4",
  "functional": "PBE-GGA",
  "state": "optimized geometry",
  "m_tot_mub_per_fu": 0.0,
  "de_polymorph_mev_per_atom": 64,
  "delta_e_f_mev_per_atom": -1256,
  "total_energy_ev_per_cell": -247.54,
  "lattice": [[5.887, 0.000, 0.000], [0.000, 11.285, 0.000], [0.000, 0.000, 9.333]],
  "species": ["Ca", "Ca", "Ca", "Ca", "Ca", "Ca", "Ca", "Ca", "Ca", "Ca", "Ca", "Ca", "Sc", "Sc", "Sc", "Sc", "Sc", "Sc", "Sc", "Sc", "N", "N", "N", "N", "N", "N", "N", "N", "N", "N", "N", "N", "N", "N", "N", "N"],
  "frac_coords": [[0.646, 0.168, 0.401], [0.854, 0.832, 0.401], [0.646, 0.332, 0.099], [0.854, 0.668, 0.099], [0.354, 0.832, 0.599], [0.146, 0.168, 0.599], [0.354, 0.668, 0.901], [0.146, 0.332, 0.901], [0.750, 0.500, 0.425], [0.750, 0.000, 0.075], [0.250, 0.500, 0.575], [0.250, 0.000, 0.925], [0.750, 0.500, 0.773], [0.750, 0.000, 0.727], [0.250, 0.500, 0.227], [0.250, 0.000, 0.273], [0.694, 0.250, 0.750], [0.806, 0.750, 0.750], [0.306, 0.750, 0.250], [0.194, 0.250, 0.250], [0.933, 0.373, 0.651], [0.567, 0.627, 0.651], [0.933, 0.127, 0.849], [0.567, 0.873, 0.849], [0.067, 0.627, 0.349], [0.433, 0.373, 0.349], [0.067, 0.873, 0.151], [0.433, 0.127, 0.151], [0.525, 0.378, 0.866], [0.975, 0.622, 0.866], [0.525, 0.122, 0.634], [0.975, 0.878, 0.634], [0.475, 0.622, 0.134], [0.025, 0.378, 0.134], [0.475, 0.878, 0.366], [0.025, 0.122, 0.366]]
}


(5)
{
  "formula": "Ca3ScN3",
  "functional": "PBE-GGA",
  "state": "optimized geometry",
  "m_tot_mub_per_fu": 0.0,
  "delta_e_f_mev_per_atom": -1014,
  "total_energy_ev_per_cell": -86.75,
  "lattice": [[-7.222, -1.385, -1.751], [5.543, -3.000, -4.173], [0.053, -4.050, 2.982]],
  "species": ["Ca", "Ca", "Ca", "Ca", "Ca", "Ca", "Sc", "Sc", "N", "N", "N", "N", "N", "N"],
  "frac_coords": [[0.934, 0.669, 0.250], [0.735, 0.066, 0.250], [0.331, 0.265, 0.250], [0.066, 0.331, 0.750], [0.265, 0.934, 0.750], [0.669, 0.735, 0.750], [0.667, 0.333, 0.750], [0.333, 0.667, 0.250], [0.918, 0.624, 0.750], [0.706, 0.082, 0.750], [0.376, 0.294, 0.750], [0.082, 0.376, 0.250], [0.294, 0.918, 0.250], [0.624, 0.706, 0.250]]
}


(6)
{
  "formula": "Ca7SeN6",
  "functional": "PBE-GGA",
  "state": "optimized geometry",
  "m_tot_mub_per_fu": 0.0,
  "delta_e_f_mev_per_atom": -687,
  "total_energy_ev_per_cell": -300.00,
  "lattice": [[-8.860, 6.405, -5.256], [1.925, -2.047, -5.739], [-7.678, -9.850, 0.939]],
  "species": ["Ca", "Ca", "Ca", "Ca", "Ca", "Ca", "Ca", "Ca", "Ca", "Ca", "Ca", "Ca", "Ca", "Ca", "Ca", "Ca", "Ca", "Ca", "Ca", "Ca", "Ca", "Ca", "Ca", "Ca", "Ca", "Ca", "Ca", "Ca", "Se", "Se", "Se", "Se", "N", "N", "N", "N", "N", "N", "N", "N", "N", "N", "N", "N", "N", "N", "N", "N", "N", "N", "N", "N", "N", "N", "N", "N"],
  "frac_coords": [[0.060, 0.706, 0.001], [0.440, 0.794, 0.501], [0.560, 0.794, 0.999], [0.940, 0.706, 0.499], [0.940, 0.294, 0.999], [0.560, 0.206, 0.499], [0.440, 0.206, 0.001], [0.060, 0.294, 0.501], [0.220, 0.891, 0.654], [0.280, 0.609, 0.154], [0.720, 0.609, 0.346], [0.780, 0.891, 0.846], [0.780, 0.109, 0.346], [0.720, 0.391, 0.846], [0.280, 0.391, 0.654], [0.220, 0.109, 0.154], [0.304, 0.659, 0.887], [0.196, 0.841, 0.387], [0.804, 0.841, 0.113], [0.696, 0.659, 0.613], [0.696, 0.341, 0.113], [0.804, 0.159, 0.613], [0.196, 0.159, 0.887], [0.304, 0.341, 0.387], [0.000, 0.565, 0.750], [0.500, 0.935, 0.250], [0.000, 0.435, 0.250], [0.500, 0.065, 0.750], [0.000, 0.050, 0.750], [0.500, 0.450, 0.250], [0.000, 0.950, 0.250], [0.500, 0.550, 0.750], [0.141, 0.801, 0.833], [0.359, 0.699, 0.333], [0.641, 0.699, 0.167], [0.859, 0.801, 0.667], [0.859, 0.199, 0.167], [0.641, 0.301, 0.667], [0.359, 0.301, 0.833], [0.141, 0.199, 0.333], [0.132, 0.644, 0.537], [0.368, 0.856, 0.037], [0.632, 0.856, 0.463], [0.868, 0.644, 0.963], [0.868, 0.356, 0.463], [0.632, 0.144, 0.963], [0.368, 0.144, 0.537], [0.132, 0.356, 0.037], [0.394, 0.724, 0.697], [0.106, 0.776, 0.197], [0.894, 0.776, 0.303], [0.606, 0.724, 0.803], [0.606, 0.276, 0.303], [0.894, 0.224, 0.803], [0.106, 0.224, 0.697], [0.394, 0.276, 0.197]]
}


(7)
{
  "formula": "Ca5Si2N6",
  "functional": "PBE-GGA",
  "state": "optimized geometry",
  "delta_e_f_mev_per_atom": -1312,
  "total_energy_ev_per_cell": -171.58,
  "lattice": [[-1.018, 2.995, -5.013], [3.213, -4.953, -0.529], [-9.297, -6.878, -3.419]],
  "species": ["Ca", "Ca", "Ca", "Ca", "Ca", "Ca", "Ca", "Ca", "Ca", "Ca", "Si", "Si", "Si", "Si", "N", "N", "N", "N", "N", "N", "N", "N", "N", "N", "N", "N"],
  "frac_coords": [[0.732, 0.381, 0.738], [0.381, 0.732, 0.738], [0.268, 0.619, 0.262], [0.619, 0.268, 0.262], [0.089, 0.089, 0.793], [0.911, 0.911, 0.207], [0.813, 0.187, 0.500], [0.187, 0.813, 0.500], [0.758, 0.242, 0.000], [0.242, 0.758, 0.000], [0.351, 0.351, 0.575], [0.649, 0.649, 0.425], [0.675, 0.675, 0.932], [0.325, 0.325, 0.068], [0.096, 0.389, 0.638], [0.389, 0.096, 0.638], [0.904, 0.611, 0.362], [0.611, 0.904, 0.362], [0.946, 0.657, 0.873], [0.657, 0.946, 0.873], [0.054, 0.343, 0.127], [0.343, 0.054, 0.127], [0.391, 0.391, 0.915], [0.609, 0.609, 0.085], [0.356, 0.356, 0.426], [0.644, 0.644, 0.574]]
}


(8)
{
  "formula": "Ca5Si2N6",
  "functional": "PBE-GGA",
  "state": "optimized geometry",
  "delta_e_f_mev_per_atom": -1313,
  "total_energy_ev_per_cell": -171.61,
  "lattice": [[3.036, 4.931, 0.000], [-3.036, 4.931, 0.000], [0.000, 2.253, 12.577]],
  "species": ["Ca", "Ca", "Ca", "Ca", "Ca", "Ca", "Ca", "Ca", "Ca", "Ca", "Si", "Si", "Si", "Si", "N", "N", "N", "N", "N", "N", "N", "N", "N", "N", "N", "N"],
  "frac_coords": [[0.324, 0.805, 0.001], [0.618, 0.382, 0.250], [0.068, 0.239, 0.784], [0.382, 0.618, 0.750], [0.195, 0.676, 0.499], [0.805, 0.324, 0.501], [0.239, 0.068, 0.284], [0.676, 0.195, 0.999], [0.932, 0.761, 0.216], [0.761, 0.932, 0.716], [0.093, 0.353, 0.076], [0.353, 0.093, 0.576], [0.647, 0.907, 0.424], [0.907, 0.647, 0.924], [0.609, 0.693, 0.352], [0.102, 0.015, 0.627], [0.656, 0.793, 0.562], [0.015, 0.102, 0.127], [0.391, 0.307, 0.648], [0.344, 0.207, 0.438], [0.985, 0.898, 0.873], [0.693, 0.609, 0.852], [0.207, 0.344, 0.938], [0.898, 0.985, 0.373], [0.793, 0.656, 0.062], [0.307, 0.391, 0.148]]
}


(9)
{
  "formula": "CaSi7N10",
  "functional": "PBE-GGA",
  "state": "optimized geometry",
  "m_tot_mub_per_fu": 0.0,
  "delta_e_f_mev_per_atom": -1297,
  "total_energy_ev_per_cell": -286.17,
  "lattice": [[-4.353, 3.452, 4.024], [-0.453, -5.390, 4.134], [8.812, 1.935, 3.489]],
  "species": ["Ca", "Ca", "Si", "Si", "Si", "Si", "Si", "Si", "Si", "Si", "Si", "Si", "Si", "Si", "Si", "Si", "N", "N", "N", "N", "N", "N", "N", "N", "N", "N", "N", "N", "N", "N", "N", "N", "N", "N", "N", "N"],
  "frac_coords": [[0.911, 0.005, 0.624], [0.911, 0.995, 0.124], [0.542, 0.976, 0.829], [0.542, 0.024, 0.329], [0.355, 0.025, 0.019], [0.355, 0.975, 0.519], [0.112, 0.396, 0.076], [0.112, 0.604, 0.576], [0.665, 0.370, 0.993], [0.665, 0.630, 0.493], [0.852, 0.627, 0.812], [0.852, 0.373, 0.312], [0.298, 0.621, 0.886], [0.298, 0.379, 0.386], [0.485, 0.371, 0.690], [0.485, 0.629, 0.190], [0.757, 0.851, 0.836], [0.757, 0.149, 0.336], [0.571, 0.134, 0.978], [0.571, 0.866, 0.478], [0.326, 0.870, 0.869], [0.326, 0.130, 0.369], [0.159, 0.163, 0.032], [0.159, 0.837, 0.532], [0.288, 0.502, 0.726], [0.288, 0.498, 0.226], [0.456, 0.118, 0.674], [0.456, 0.882, 0.174], [0.886, 0.376, 0.133], [0.886, 0.624, 0.633], [0.080, 0.577, 0.940], [0.080, 0.423, 0.440], [0.703, 0.422, 0.826], [0.703, 0.578, 0.326], [0.497, 0.538, 0.026], [0.497, 0.462, 0.526]]
}


(10)
{
  "formula": "CaSn2N2",
  "functional": "PBE-GGA",
  "state": "optimized geometry",
  "m_tot_mub_per_fu": 0.0,
  "delta_e_f_mev_per_atom": -208,
  "total_energy_ev_per_cell": -27.02,
  "lattice": [[-0.879, -0.367, 3.367], [-1.975, -2.770, -0.817], [6.936, -5.309, 1.233]],
  "species": ["Ca", "Sn", "Sn", "N", "N"],
  "frac_coords": [[0.000, 0.000, 0.000], [0.500, 0.500, 0.684], [0.500, 0.500, 0.316], [0.500, 0.000, 0.176], [0.000, 0.500, 0.824]]
}


(11)
{
  "formula": "Ca7SnN6",
  "functional": "PBE-GGA",
  "state": "optimized geometry",
  "m_tot_mub_per_fu": 0.0,
  "delta_e_f_mev_per_atom": -864,
  "total_energy_ev_per_cell": -156.01,
  "lattice": [[6.149, 1.628, -0.510], [2.162, 1.558, -8.887], [0.869, 9.237, 0.043]],
  "species": ["Ca", "Ca", "Ca", "Ca", "Ca", "Ca", "Ca", "Ca", "Ca", "Ca", "Ca", "Ca", "Ca", "Ca", "Sn", "Sn", "N", "N", "N", "N", "N", "N", "N", "N", "N", "N", "N", "N"],
  "frac_coords": [[0.284, 0.952, 0.048], [0.716, 0.048, 0.952], [0.216, 0.452, 0.548], [0.784, 0.548, 0.452], [0.750, 0.151, 0.596], [0.504, 0.596, 0.151], [0.750, 0.904, 0.349], [0.996, 0.349, 0.904], [0.250, 0.849, 0.404], [0.496, 0.404, 0.849], [0.250, 0.096, 0.651], [0.004, 0.651, 0.096], [0.250, 0.250, 0.250], [0.750, 0.750, 0.750], [0.750, 0.250, 0.250], [0.250, 0.750, 0.750], [0.026, 0.062, 0.291], [0.621, 0.291, 0.062], [0.474, 0.209, 0.438], [0.879, 0.438, 0.209], [0.974, 0.938, 0.709], [0.379, 0.709, 0.938], [0.526, 0.791, 0.562], [0.121, 0.562, 0.791], [0.879, 0.348, 0.652], [0.121, 0.652, 0.348], [0.621, 0.848, 0.152], [0.379, 0.152, 0.848]]
}


(12)
{
  "formula": "Ca2SnN2",
  "functional": "PBE-GGA",
  "state": "optimized geometry",
  "m_tot_mub_per_fu": 0.0,
  "de_polymorph_mev_per_atom": 132,
  "delta_e_f_mev_per_atom": -673,
  "total_energy_ev_per_cell": -54.68,
  "lattice": [[-1.757, -2.868, 4.929], [2.513, -0.276, 5.405], [-3.126, 4.388, 4.149]],
  "species": ["Ca", "Ca", "Ca", "Ca", "Sn", "Sn", "N", "N", "N", "N"],
  "frac_coords": [[0.333, 0.334, 0.582], [0.666, 0.667, 0.418], [0.989, 0.993, 0.742], [0.007, 0.011, 0.258], [0.676, 0.653, 0.908], [0.347, 0.324, 0.092], [0.824, 0.831, 0.593], [0.169, 0.176, 0.407], [0.491, 0.499, 0.222], [0.501, 0.509, 0.778]]
}


(13)
{
  "formula": "Ca3SnN",
  "functional": "PBE-GGA",
  "state": "optimized geometry",
  "m_tot_mub_per_fu": 1.0,
  "delta_e_f_mev_per_atom": 671,
  "total_energy_ev_per_cell": -14.65,
  "lattice": [[5.897, 0.000, 0.000], [0.000, 5.897, 0.000], [0.000, 0.000, 5.897]],
  "species": ["Ca", "Ca", "Ca", "Sn", "N"],
  "frac_coords": [[0.500, 0.000, 0.000], [0.000, 0.500, 0.000], [0.000, 0.000, 0.500], [0.000, 0.000, 0.000], [0.500, 0.500, 0.500]]
}


(14)
{
  "formula": "Ca2SnN2",
  "functional": "PBE-GGA",
  "state": "optimized geometry",
  "m_tot_mub_per_fu": 0.0,
  "de_polymorph_mev_per_atom": 0,
  "delta_e_f_mev_per_atom": -805,
  "total_energy_ev_per_cell": -112.00,
  "lattice": [[2.565, -5.639, 0.000], [2.565, 5.639, 0.000], [0.000, 0.000, 12.130]],
  "species": ["Ca", "Ca", "Ca", "Ca", "Ca", "Ca", "Ca", "Ca", "Sn", "Sn", "Sn", "Sn", "N", "N", "N", "N", "N", "N", "N", "N"],
  "frac_coords": [[0.539, 0.461, 0.862], [0.461, 0.539, 0.138], [0.961, 0.039, 0.362], [0.039, 0.961, 0.638], [0.862, 0.138, 0.954], [0.138, 0.862, 0.046], [0.638, 0.362, 0.454], [0.362, 0.638, 0.546], [0.743, 0.257, 0.686], [0.257, 0.743, 0.314], [0.757, 0.243, 0.186], [0.243, 0.757, 0.814], [0.562, 0.438, 0.641], [0.438, 0.562, 0.359], [0.938, 0.062, 0.141], [0.062, 0.938, 0.859], [0.849, 0.151, 0.545], [0.151, 0.849, 0.455], [0.651, 0.349, 0.045], [0.349, 0.651, 0.955]]
}